[1]
Here is an optimized crystal structure of BaNaLaWO6 from Materials Project. Energies are from PBE+U.

```
BaNaLaWO6
1.0
0.000 4.324 4.324
4.324 0.000 4.324
4.324 4.324 0.000
Ba Na La W O
1 1 1 1 6
Direct
0.000 0.000 0.000
0.500 0.500 0.500
0.750 0.750 0.750
0.250 0.250 0.250
0.024 0.024 0.476
0.024 0.476 0.024
0.024 0.476 0.476
0.476 0.024 0.024
0.476 0.024 0.476
0.476 0.476 0.024
```

Results
- Size of the total moment: 0.00 μB per formula unit
- Offset from the most stable computed form: 0.49 kcal/mol of atoms
- Energy relative to the elements: -2.852 eV/atom

=====

[2]
Here is an optimized crystal structure of BaNaLaWO6 from Materials Project. Energies are from PBE+U.

```
BaNaLaWO6
1.0
8.528 0.000 0.000
0.000 8.539 0.000
0.000 0.000 8.568
Ba Na La W O
4 4 4 4 24
Direct
0.250 0.250 0.250
0.250 0.250 0.750
0.750 0.750 0.250
0.750 0.750 0.750
0.250 0.750 0.250
0.250 0.750 0.750
0.750 0.250 0.250
0.750 0.250 0.750
0.000 0.000 0.000
0.000 0.500 0.500
0.500 0.000 0.500
0.500 0.500 0.000
0.000 0.000 0.500
0.000 0.500 0.000
0.500 0.000 0.000
0.500 0.500 0.500
0.037 0.226 0.478
0.037 0.274 0.022
0.040 0.531 0.223
0.040 0.969 0.277
0.224 0.525 0.955
0.224 0.975 0.545
0.276 0.525 0.545
0.276 0.975 0.955
0.460 0.531 0.277
0.460 0.969 0.223
0.463 0.226 0.022
0.463 0.274 0.478
0.537 0.726 0.522
0.537 0.774 0.978
0.540 0.031 0.777
0.540 0.469 0.723
0.724 0.025 0.045
0.724 0.475 0.455
0.776 0.025 0.455
0.776 0.475 0.045
0.960 0.031 0.723
0.960 0.469 0.777
0.963 0.726 0.978
0.963 0.774 0.522
```

Results
- Size of the total moment: 0.00 μB per formula unit
- Offset from the most stable computed form: 0.00 kcal/mol of atoms
- Energy relative to the elements: -2.874 eV/atom

=====

[3]
Here is an optimized crystal structure of BaLa3Ni2O8 from Materials Project. Energies are from PBE+U.

```
BaLa3Ni2O8
1.0
5.529 0.000 0.000
0.000 2.746 6.439
0.000 -2.746 6.439
Ba La Ni O
1 3 2 8
Direct
0.000 0.000 0.000
0.000 0.719 0.719
0.500 0.216 0.216
0.500 0.493 0.493
0.000 0.357 0.357
0.500 0.859 0.859
0.000 0.198 0.198
0.000 0.533 0.533
0.262 0.100 0.598
0.262 0.598 0.100
0.500 0.032 0.032
0.500 0.673 0.673
0.738 0.100 0.598
0.738 0.598 0.100
```

Results
- Size of the total moment: 3.01 μB per formula unit
- Energy relative to the elements: -2.833 eV/atom

=====

[4]
Here is an optimized crystal structure of BaLaNiRuO6 from Materials Project. Energies are from PBE+U.

```
BaLaNiRuO6
1.0
-2.818 2.818 4.054
2.818 -2.818 4.054
2.818 2.818 -4.054
Ba La Ni Ru O
1 1 1 1 6
Direct
0.000 0.000 0.000
0.500 0.500 0.000
0.750 0.250 0.500
0.250 0.750 0.500
0.006 0.506 0.500
0.068 0.478 0.012
0.466 0.056 0.988
0.494 0.994 0.500
0.522 0.534 0.590
0.944 0.932 0.410
```

Results
- Size of the total moment: 5.01 μB per formula unit
- Energy relative to the elements: -2.373 eV/atom

=====

[5]
Here is an optimized crystal structure of Ba2La2NiW2O12 from Materials Project. Energies are from PBE+U.

```
Ba2La2NiW2O12
1.0
2.862 1.652 9.280
-2.862 1.652 9.280
0.000 -3.305 9.280
Ba La Ni W O
2 2 1 2 12
Direct
0.134 0.134 0.134
0.866 0.866 0.866
0.293 0.293 0.293
0.707 0.707 0.707
0.000 0.000 0.000
0.417 0.417 0.417
0.583 0.583 0.583
0.117 0.617 0.617
0.215 0.215 0.682
0.215 0.682 0.215
0.318 0.785 0.785
0.383 0.383 0.883
0.383 0.883 0.383
0.617 0.117 0.617
0.617 0.617 0.117
0.682 0.215 0.215
0.785 0.318 0.785
0.785 0.785 0.318
0.883 0.383 0.383
```

Results
- Size of the total moment: 2.00 μB per formula unit
- Energy relative to the elements: -2.865 eV/atom

=====

[6]
Here is an optimized crystal structure of Ba3LaV3O12 from Materials Project. Energies are from PBE+U.

```
Ba3LaV3O12
1.0
11.101 -2.883 0.000
11.101 2.883 0.000
-0.742 0.000 9.671
Ba La V O
6 2 6 24
Direct
0.000 0.000 0.000
0.058 0.058 0.652
0.195 0.195 0.002
0.525 0.525 0.337
0.664 0.664 0.668
0.867 0.867 0.648
0.378 0.378 0.028
0.740 0.740 0.330
0.137 0.137 0.341
0.260 0.260 0.647
0.466 0.466 0.681
0.597 0.597 0.997
0.800 0.800 0.001
0.918 0.918 0.300
0.007 0.518 0.548
0.046 0.545 0.102
0.084 0.084 0.202
0.172 0.688 0.195
0.189 0.189 0.713
0.208 0.708 0.780
0.209 0.209 0.282
0.315 0.315 0.790
0.360 0.844 0.891
0.373 0.879 0.441
0.413 0.413 0.545
0.518 0.007 0.548
0.525 0.525 0.056
0.538 0.538 0.617
0.545 0.046 0.102
0.657 0.657 0.130
0.688 0.172 0.195
0.708 0.208 0.780
0.744 0.744 0.871
0.844 0.360 0.891
0.846 0.846 0.362
0.871 0.871 0.938
0.879 0.373 0.441
0.972 0.972 0.437
```

Results
- Size of the total moment: 0.00 μB per formula unit
- Energy relative to the elements: -3.029 eV/atom

=====

[7]
Here is an optimized crystal structure of Ba2LaWO6 from Materials Project. Energies are from PBE+U.

```
Ba2LaWO6
1.0
0.000 4.373 4.373
4.373 0.000 4.373
4.373 4.373 0.000
Ba La W O
2 1 1 6
Direct
0.250 0.250 0.250
0.750 0.750 0.750
0.000 0.000 0.000
0.500 0.500 0.500
0.271 0.271 0.729
0.271 0.729 0.271
0.271 0.729 0.729
0.729 0.271 0.271
0.729 0.271 0.729
0.729 0.729 0.271
```

Results
- Size of the total moment: 1.00 μB per formula unit
- Energy relative to the elements: -2.995 eV/atom

=====

[8]
Here is an optimized crystal structure of Ba2LaWO6 from Materials Project. Energies are from PBE+U.

```
Ba2LaWO6
1.0
8.744 0.000 0.000
0.000 8.744 0.000
0.000 0.000 8.744
Ba La W O
8 4 4 24
Direct
0.250 0.250 0.250
0.250 0.250 0.750
0.250 0.750 0.250
0.250 0.750 0.750
0.750 0.250 0.250
0.750 0.250 0.750
0.750 0.750 0.250
0.750 0.750 0.750
0.000 0.000 0.000
0.000 0.500 0.500
0.500 0.000 0.500
0.500 0.500 0.000
0.000 0.000 0.500
0.000 0.500 0.000
0.500 0.000 0.000
0.500 0.500 0.500
0.023 0.229 0.525
0.023 0.271 0.975
0.025 0.523 0.771
0.025 0.977 0.729
0.229 0.525 0.023
0.229 0.975 0.477
0.271 0.525 0.477
0.271 0.975 0.023
0.475 0.523 0.729
0.475 0.977 0.771
0.477 0.229 0.975
0.477 0.271 0.525
0.523 0.729 0.475
0.523 0.771 0.025
0.525 0.023 0.229
0.525 0.477 0.271
0.729 0.025 0.977
0.729 0.475 0.523
0.771 0.025 0.523
0.771 0.475 0.977
0.975 0.023 0.271
0.975 0.477 0.229
0.977 0.729 0.025
0.977 0.771 0.475
```

Results
- Size of the total moment: 1.00 μB per formula unit
- Energy relative to the elements: -3.065 eV/atom

=====

[9]
Here is an optimized crystal structure of Ba2La2ZnW2O12 from Materials Project. Energies are from PBE+U.

```
Ba2La2ZnW2O12
1.0
2.843 1.641 9.124
-2.843 1.641 9.124
0.000 -3.283 9.124
Ba La Zn W O
2 2 1 2 12
Direct
0.210 0.210 0.210
0.790 0.790 0.790
0.365 0.365 0.365
0.635 0.635 0.635
0.500 0.500 0.500
0.077 0.077 0.077
0.923 0.923 0.923
0.128 0.128 0.626
0.128 0.626 0.128
0.209 0.718 0.718
0.282 0.282 0.791
0.282 0.791 0.282
0.374 0.872 0.872
0.626 0.128 0.128
0.718 0.209 0.718
0.718 0.718 0.209
0.791 0.282 0.282
0.872 0.374 0.872
0.872 0.872 0.374
```

Results
- Size of the total moment: 0.00 μB per formula unit
- Energy relative to the elements: -2.854 eV/atom

=====

[10]
Here is an optimized crystal structure of Ba2LiMn2P4O14 from Materials Project. Energies are from PBE+U.

```
Ba2LiMn2P4O14
1.0
5.501 0.000 0.000
-0.405 7.568 0.000
-0.479 -2.248 8.134
Ba Li Mn P O
2 1 2 4 14
Direct
0.000 0.000 0.000
0.392 0.905 0.559
0.247 0.390 0.723
0.385 0.353 0.399
0.998 0.553 0.171
0.470 0.340 0.988
0.495 0.740 0.050
0.877 0.159 0.467
0.905 0.571 0.559
0.002 0.706 0.719
0.070 0.151 0.342
0.084 0.569 0.421
0.279 0.761 0.160
0.297 0.359 0.129
0.362 0.197 0.835
0.450 0.529 0.927
0.493 0.869 0.939
0.617 0.138 0.386
0.644 0.587 0.493
0.739 0.328 0.041
0.746 0.745 0.141
0.911 0.033 0.579
0.912 0.370 0.598
```

Results
- Size of the total moment: 9.01 μB per formula unit
- Offset from the most stable computed form: 0.19 kcal/mol of atoms
- Energy relative to the elements: -2.742 eV/atom

=====

[11]
Here is an optimized crystal structure of Ba2LiMn2P4O14 from Materials Project. Energies are from PBE+U.

```
Ba2LiMn2P4O14
1.0
5.428 0.000 0.000
-0.330 7.729 0.000
-0.114 -2.967 8.197
Ba Li Mn P O
2 1 2 4 14
Direct
0.000 0.000 0.000
0.372 0.941 0.512
0.387 0.613 0.726
0.388 0.373 0.386
0.993 0.541 0.158
0.472 0.319 0.971
0.499 0.719 0.049
0.877 0.178 0.455
0.905 0.584 0.560
0.043 0.718 0.710
0.055 0.565 0.405
0.097 0.156 0.341
0.283 0.751 0.166
0.293 0.351 0.115
0.382 0.157 0.826
0.458 0.505 0.920
0.489 0.830 0.935
0.631 0.161 0.359
0.632 0.622 0.538
0.741 0.316 0.028
0.752 0.738 0.135
0.881 0.048 0.553
0.898 0.387 0.590
```

Results
- Size of the total moment: 9.09 μB per formula unit
- Offset from the most stable computed form: 0.00 kcal/mol of atoms
- Energy relative to the elements: -2.750 eV/atom

=====

[12]
Here is an optimized crystal structure of Ba2LiMn2P4O14 from Materials Project. Energies are from PBE+U.

```
Ba2LiMn2P4O14
1.0
5.775 0.000 0.000
0.099 7.508 0.000
2.193 1.335 7.445
Ba Li Mn P O
2 1 2 4 14
Direct
0.000 0.000 0.000
0.358 0.858 0.456
0.762 0.507 0.713
0.058 0.511 0.936
0.319 0.331 0.543
0.478 0.330 0.093
0.522 0.728 0.968
0.837 0.117 0.496
0.880 0.517 0.371
0.019 0.111 0.609
0.061 0.551 0.476
0.281 0.290 0.007
0.335 0.741 0.859
0.436 0.229 0.285
0.453 0.542 0.117
0.501 0.877 0.081
0.572 0.121 0.605
0.623 0.540 0.493
0.734 0.317 0.967
0.780 0.709 0.848
0.884 0.972 0.376
0.899 0.307 0.349
0.934 0.622 0.181
```

Results
- Size of the total moment: 11.00 μB per formula unit
- Offset from the most stable computed form: 0.05 kcal/mol of atoms
- Energy relative to the elements: -2.748 eV/atom

=====

[13]
Here is an optimized crystal structure of Ba2LiMn2P4O14 from Materials Project. Energies are from PBE+U.

```
Ba2LiMn2P4O14
1.0
5.545 0.000 0.000
-0.149 7.641 0.000
-0.277 -1.966 7.752
Ba Li Mn P O
2 1 2 4 14
Direct
0.000 0.000 0.000
0.426 0.875 0.569
0.544 0.399 0.691
0.016 0.549 0.176
0.413 0.314 0.373
0.506 0.336 0.992
0.520 0.736 0.060
0.925 0.149 0.510
0.948 0.550 0.586
0.038 0.689 0.746
0.107 0.130 0.367
0.115 0.542 0.432
0.279 0.335 0.100
0.307 0.747 0.179
0.492 0.202 0.818
0.505 0.863 0.941
0.506 0.529 0.933
0.661 0.135 0.438
0.679 0.560 0.533
0.740 0.335 0.100
0.768 0.751 0.157
0.955 0.354 0.639
0.966 0.022 0.628
```

Results
- Size of the total moment: 9.07 μB per formula unit
- Offset from the most stable computed form: 0.42 kcal/mol of atoms
- Energy relative to the elements: -2.732 eV/atom

=====

[14]
Here is an optimized crystal structure of Ba2LiMn2P4O14 from Materials Project. Energies are from PBE+U.

```
Ba2LiMn2P4O14
1.0
5.486 0.000 0.000
-0.290 7.645 0.000
-0.409 -1.635 7.787
Ba Li Mn P O
2 1 2 4 14
Direct
0.000 0.000 0.000
0.393 0.879 0.567
0.343 0.303 0.575
0.542 0.403 0.314
0.975 0.529 0.173
0.487 0.340 0.943
0.496 0.732 0.040
0.887 0.167 0.522
0.935 0.564 0.591
0.026 0.703 0.745
0.098 0.133 0.402
0.105 0.563 0.439
0.284 0.735 0.159
0.314 0.333 0.093
0.392 0.213 0.779
0.470 0.539 0.902
0.485 0.875 0.931
0.633 0.182 0.432
0.661 0.575 0.537
0.749 0.740 0.135
0.753 0.315 0.001
0.875 0.037 0.643
0.960 0.368 0.642
```

Results
- Size of the total moment: 9.00 μB per formula unit
- Offset from the most stable computed form: 0.38 kcal/mol of atoms
- Energy relative to the elements: -2.733 eV/atom

=====

| no. | corrected total energy (MP2020 scheme) (eV/f.u.) |
| --- | --- |
| 1 | -79.3 |
| 2 | -79.6 |
| 3 | -107.5 |
| 4 | -75.3 |
| 5 | -159.2 |
| 6 | -154.9 |
| 7 | -81.4 |
| 8 | -82.1 |
| 9 | -154.5 |
| 10 | -178.1 |
| 11 | -178.2 |
| 12 | -178.2 |
| 13 | -177.8 |
| 14 | -177.9 |